Computed, not measured: a relaxed structure of AlCu3 at the PBE level of DFT.

abc: 3.6715 3.6715 3.6715
angles: 90.00 90.00 90.00
Closest atoms and distances in Å follow each position.
Space group Pm-3m (No. 221)
Asymmetric unit:
Al: 0.0000 0.0000 0.0000 [1 per cell]  12 Cu 2.60
Cu: 0.0000 0.5000 0.5000 [3 per cell]  8 Cu 2.60, 4 Al 2.60

Calculated values
- ΔH_f (0 K): -181 meV/atom